Material: La2Si3O9
Method: DFT, PBE
State: relaxed

Geometry as extended XYZ:
```
28
Lattice="3.520 1.645 -5.632 -4.574 4.387 2.580 7.323 4.219 5.809" Properties=species:S:1:pos:R:3 pbc="T T T"
Si 0.711 2.299 1.960
Si 5.362 4.650 3.443
Si -1.754 5.683 2.610
Si 8.023 4.568 0.147
Si 5.559 7.953 0.796
Si 0.908 5.602 -0.686
O -2.256 5.329 1.098
O 6.204 6.000 3.803
O 8.526 4.923 1.658
O 1.713 2.364 0.651
O 1.764 5.995 -2.051
O 4.506 4.257 4.807
O 1.084 3.444 3.061
O 4.260 4.881 2.261
O 7.129 7.927 1.237
O 5.186 6.807 -0.305
O 4.557 7.888 2.106
O 1.788 7.768 5.684
O -0.313 6.448 2.640
O 6.582 3.803 0.117
O -0.860 2.325 1.520
O 2.009 5.371 0.495
O 0.066 4.251 -1.046
O 4.482 2.484 -2.928
La 0.976 2.648 -2.773
La 5.293 7.603 5.529
La 4.329 4.580 -0.113
La 1.940 5.672 2.869
```

Energy ... -8.165 eV/atom
Crystal system ... hexagonal
Symmetry ... P6_3/m
ΔE_f ... -3.56 eV/atom
Energy relative to the lowest polymorph listed for this composition ... 0 meV/atom